Entry 1:
## In4GeS4 (PBE-GGA)

Data for a relaxed In4GeS4 crystal.

Formation energy   -681 meV per atom

Unit cell a=12.432 b=12.432 c=12.432 alpha=90.00 beta=90.00 gamma=90.00
Space group Pa-3 (No. 205)
Asymmetric unit:
In1 0.034 0.061 0.274 x24
In2 0.224 0.724 0.776 x8
Ge1 0.101 0.601 0.899 x8
S1 0.076 0.076 0.076 x8
S2 0.076 0.247 0.830 x24

---

Entry 2:
## Bi2Te4Cl7 (PBE-GGA)

Data for a relaxed Bi2Te4Cl7 crystal.

Formation energy   -965 meV per atom

Unit cell a=8.984 b=16.834 c=23.447 alpha=90.00 beta=90.00 gamma=90.00
Space group P2_12_12_1 (No. 19)
Asymmetric unit:
Bi1 0.141 0.110 0.439 x4
Bi2 0.165 0.376 0.484 x4
Bi3 0.174 0.094 0.057 x4
Bi4 0.192 0.376 0.031 x4
Te1 0.003 0.219 0.681 x4
Te2 0.034 0.778 0.713 x4
Te3 0.064 0.509 0.709 x4
Te4 0.089 0.744 0.225 x4
Te5 0.118 0.063 0.702 x4
Te6 0.127 0.891 0.269 x4
Te7 0.200 0.516 0.277 x4
Te8 0.238 0.678 0.318 x4
Cl1 0.050 0.618 0.573 x4
Cl2 0.050 0.885 0.588 x4
Cl3 0.073 0.613 0.941 x4
Cl4 0.075 0.876 0.921 x4
Cl5 0.097 0.273 0.395 x4
Cl6 0.103 0.295 0.119 x4
Cl7 0.117 0.092 0.167 x4
Cl8 0.121 0.083 0.332 x4
Cl9 0.148 0.546 0.439 x4
Cl10 0.169 0.952 0.449 x4
Cl11 0.189 0.553 0.075 x4
Cl12 0.191 0.941 0.064 x4
Cl13 0.232 0.245 0.533 x4
Cl14 0.247 0.246 0.978 x4

---

Entry 3:
## PrAl2Ni3 (PBE-GGA)

Data for a relaxed PrAl2Ni3 crystal.

Formation energy   -529 meV per atom

Unit cell a=5.3214 b=5.3214 c=3.8273 alpha=90.00 beta=90.00 gamma=120.00
Space group P6/mmm (No. 191)
Asymmetric unit:
Pr1 0.0000 0.0000 0.0000 x1
Al1 0.3333 0.6667 0.0000 x2
Ni1 0.0000 0.5000 0.5000 x3

---

Final energy (eV per atom)
-4.03; -3.20; -5.46
Theoretical density (g/cm³)
4.56; 4.41; 6.56